The following is a DFT calculation (PBE+U) of a geometry-optimized Li3Fe3CuO8 structure.

```
Li3Fe3CuO8
1.0
5.1172 -2.7877 0.0000
5.1172 2.7877 0.0000
-3.1241 0.0000 4.8289
Li Fe Cu O
3 3 1 8
Direct
0.0000 0.0000 0.0000 Li
0.0000 0.5000 0.0000 Li
0.5000 0.0000 0.0000 Li
0.0000 0.5000 0.5000 Fe
0.5000 0.0000 0.5000 Fe
0.5000 0.5000 0.5000 Fe
0.0000 0.0000 0.5000 Cu
0.2298 0.7213 0.7022 O
0.2409 0.2409 0.2556 O
0.2531 0.2531 0.7284 O
0.2787 0.7702 0.2978 O
0.7213 0.2298 0.7022 O
0.7469 0.7469 0.2716 O
0.7591 0.7591 0.7444 O
0.7702 0.2787 0.2978 O
```

Calculated values
calculated formation energy: -149.9 kJ per mole of atoms
V: 138 Å³/cell
DFT total energy: -5.72 eV/atom



The following is a DFT calculation (PBE+U) of a geometry-optimized Li2FeCuO4 structure.

```
Li2FeCuO4
1.0
5.1099 0.0000 0.0000
0.0000 2.9669 0.0000
-1.7146 0.0000 4.8597
Li Fe Cu O
2 1 1 4
Direct
0.0000 0.0000 0.0000 Li
0.5000 0.5000 0.0000 Li
0.0000 0.5000 0.5000 Fe
0.5000 0.0000 0.5000 Cu
0.2433 0.0000 0.7331 O
0.2538 0.5000 0.2685 O
0.7462 0.5000 0.7315 O
0.7567 0.0000 0.2669 O
```

Calculated values
calculated formation energy: -159.7 kJ per mole of atoms
V: 74 Å³/cell
DFT total energy: -5.55 eV/atom



The following is a DFT calculation (PBE+U) of a geometry-optimized Li3FeCu3O8 structure.

```
Li3FeCu3O8
1.0
2.9256 1.6891 4.8932
-2.9256 1.6891 4.8932
0.0000 -3.3782 4.8932
Li Fe Cu O
3 1 3 8
Direct
0.0000 0.5000 0.5000 Li
0.5000 0.0000 0.5000 Li
0.5000 0.5000 0.0000 Li
0.5000 0.5000 0.5000 Fe
0.0000 0.0000 0.5000 Cu
0.0000 0.5000 0.0000 Cu
0.5000 0.0000 0.0000 Cu
0.2427 0.2427 0.2427 O
0.2512 0.7347 0.7347 O
0.2653 0.2653 0.7488 O
0.2653 0.7488 0.2653 O
0.7347 0.2512 0.7347 O
0.7347 0.7347 0.2512 O
0.7488 0.2653 0.2653 O
0.7573 0.7573 0.7573 O
```

Calculated values
calculated formation energy: -128.8 kJ per mole of atoms
V: 145 Å³/cell
DFT total energy: -5.22 eV/atom



Total moment (computed, μB/atom): 0.933; 0.875; 0.663